Entry 1:
Density functional theory data (GGA+U) for a relaxed LiSi4NiO10 crystal.

abc: 7.815 5.179 11.904
angles: 90.00 112.82 90.00
Positions (direct):
Li 0.000 0.241 0.250
Li 0.000 0.759 0.750
Si 0.293 0.024 0.500
Si 0.293 0.976 0.000
Si 0.294 0.479 0.149
Si 0.294 0.521 0.649
Si 0.706 0.479 0.351
Si 0.706 0.521 0.851
Si 0.707 0.024 0.000
Si 0.707 0.976 0.500
Ni 0.000 0.258 0.750
Ni 0.000 0.742 0.250
O 0.137 0.020 0.864
O 0.137 0.980 0.364
O 0.141 0.497 0.709
O 0.141 0.503 0.209
O 0.256 0.316 0.537
O 0.256 0.684 0.037
O 0.276 0.183 0.099
O 0.276 0.817 0.599
O 0.500 0.000 0.000
O 0.500 0.000 0.500
O 0.500 0.466 0.750
O 0.500 0.534 0.250
O 0.724 0.183 0.401
O 0.724 0.817 0.901
O 0.744 0.316 0.963
O 0.744 0.684 0.463
O 0.859 0.497 0.791
O 0.859 0.503 0.291
O 0.863 0.020 0.636
O 0.863 0.980 0.136

## Properties
The total DFT energy (no corrections) is -7.1248 eV per atom. The energy of formation from the pure elements is -2.78 eV/atom. The calculated density is 2527 kg/m³.

Entry 2:
Density functional theory data (GGA+U) for a relaxed LiCo5SbO8 crystal.

abc: 6.101 6.101 6.358
angles: 119.91 119.91 58.18
Positions (direct):
Li 0.000 0.000 0.000
Co 0.000 0.500 0.000
Co 0.163 0.163 0.432
Co 0.500 0.000 0.000
Co 0.500 0.500 0.500
Co 0.837 0.837 0.568
Sb 0.500 0.500 0.000
O 0.257 0.738 0.770
O 0.262 0.262 0.247
O 0.262 0.743 0.230
O 0.272 0.272 0.801
O 0.728 0.728 0.199
O 0.738 0.257 0.770
O 0.738 0.738 0.753
O 0.743 0.262 0.230

## Properties
The total DFT energy (no corrections) is -5.9274 eV per atom. The energy of formation from the pure elements is -1.43 eV/atom. The calculated density is 5544 kg/m³.

Entry 3:
Density functional theory data (GGA+U) for a relaxed Li3VPCO7 crystal.

abc: 6.616 8.509 9.978
angles: 85.10 89.43 89.07
Positions (direct):
Li 0.000 0.000 0.000
Li 0.002 0.001 0.508
Li 0.222 0.819 0.752
Li 0.230 0.818 0.282
Li 0.273 0.383 0.013
Li 0.278 0.383 0.518
Li 0.484 0.752 0.514
Li 0.490 0.192 0.768
Li 0.492 0.208 0.283
Li 0.710 0.380 0.517
Li 0.714 0.382 0.013
Li 0.761 0.821 0.751
V 0.491 0.770 0.990
V 0.735 0.840 0.278
V 0.994 0.428 0.787
V 0.994 0.430 0.287
P 0.493 0.508 0.751
P 0.494 0.513 0.250
P 0.988 0.692 0.030
P 0.998 0.688 0.531
C 0.498 0.065 0.043
C 0.503 0.057 0.535
C 0.993 0.135 0.738
C 0.995 0.137 0.238
O 0.000 0.249 0.142
O 0.001 0.521 0.479
O 0.173 0.792 0.983
O 0.180 0.791 0.482
O 0.312 0.406 0.807
O 0.312 0.411 0.302
O 0.488 0.678 0.305
O 0.489 0.029 0.920
O 0.489 0.676 0.800
O 0.494 0.205 0.562
O 0.494 0.524 0.595
O 0.495 0.532 0.093
O 0.496 0.947 0.632
O 0.497 0.208 0.076
O 0.504 0.946 0.137
O 0.516 0.024 0.409
O 0.677 0.406 0.807
O 0.677 0.410 0.302
O 0.807 0.785 0.483
O 0.808 0.795 0.973
O 0.973 0.674 0.189
O 0.989 0.990 0.209
O 0.993 0.248 0.642
O 0.993 0.667 0.689
O 0.993 0.989 0.710
O 0.994 0.524 0.982
O 0.995 0.173 0.861
O 0.997 0.173 0.361

## Properties
The total DFT energy (no corrections) is -6.8471 eV per atom. The energy of formation from the pure elements is -2.42 eV/atom. The calculated density is 2691 kg/m³.

Entry 4:
Density functional theory data (GGA+U) for a relaxed FePH6NO5 crystal.

abc: 10.231 10.231 7.479
angles: 107.74 107.74 123.52
Positions (direct):
Fe 0.238 0.762 0.500
Fe 0.261 0.742 0.002
Fe 0.742 0.261 0.502
Fe 0.762 0.238 0.000
P 0.134 0.440 0.501
P 0.440 0.134 0.001
P 0.635 0.938 0.503
P 0.938 0.635 0.003
H 0.000 0.693 0.635
H 0.027 0.943 0.350
H 0.062 0.375 0.867
H 0.088 0.178 0.147
H 0.133 0.176 0.506
H 0.176 0.133 0.006
H 0.178 0.088 0.647
H 0.199 0.511 0.141
H 0.375 0.062 0.367
H 0.442 0.527 0.851
H 0.453 0.500 0.506
H 0.500 0.453 0.006
H 0.511 0.199 0.641
H 0.527 0.442 0.351
H 0.560 0.867 0.862
H 0.589 0.678 0.149
H 0.634 0.676 0.505
H 0.676 0.634 0.005
H 0.678 0.589 0.649
H 0.693 0.000 0.135
H 0.867 0.560 0.362
H 0.943 0.027 0.850
H 0.952 0.998 0.506
H 0.998 0.952 0.006
N 0.051 0.073 0.002
N 0.073 0.051 0.502
N 0.551 0.574 0.003
N 0.574 0.551 0.503
O 0.062 0.434 0.278
O 0.156 0.778 0.221
O 0.196 0.499 0.003
O 0.249 0.383 0.513
O 0.275 0.659 0.712
O 0.301 0.963 0.003
O 0.383 0.249 0.013
O 0.434 0.062 0.778
O 0.463 0.796 0.500
O 0.499 0.196 0.503
O 0.565 0.938 0.284
O 0.659 0.275 0.212
O 0.695 0.989 0.000
O 0.750 0.882 0.510
O 0.778 0.156 0.721
O 0.796 0.463 0.000
O 0.882 0.750 0.010
O 0.938 0.565 0.784
O 0.963 0.301 0.503
O 0.989 0.695 0.500

## Properties
The total DFT energy (no corrections) is -5.8831 eV per atom. The energy of formation from the pure elements is -1.48 eV/atom. The calculated density is 2485 kg/m³.

Entry 5:
Density functional theory data (GGA+U) for a relaxed CoH3S2N5O6 crystal.

abc: 7.500 12.564 18.019
angles: 90.00 90.00 90.00
Positions (direct):
Co 0.017 0.147 0.353
Co 0.483 0.853 0.853
Co 0.517 0.353 0.647
Co 0.983 0.647 0.147
H 0.010 0.074 0.135
H 0.025 0.681 0.760
H 0.051 0.751 0.561
H 0.449 0.249 0.061
H 0.475 0.319 0.260
H 0.490 0.926 0.635
H 0.510 0.426 0.865
H 0.525 0.819 0.240
H 0.551 0.749 0.439
H 0.949 0.251 0.939
H 0.975 0.181 0.740
H 0.990 0.574 0.365
S 0.005 0.838 0.343
S 0.089 0.954 0.960
S 0.411 0.046 0.460
S 0.495 0.162 0.843
S 0.505 0.662 0.657
S 0.589 0.546 0.040
S 0.911 0.454 0.540
S 0.995 0.338 0.157
N 0.028 0.586 0.068
N 0.083 0.484 0.872
N 0.092 0.268 0.373
N 0.162 0.654 0.197
N 0.173 0.083 0.309
N 0.327 0.917 0.809
N 0.338 0.346 0.697
N 0.408 0.732 0.873
N 0.417 0.516 0.372
N 0.472 0.414 0.568
N 0.528 0.914 0.932
N 0.583 0.016 0.128
N 0.592 0.232 0.627
N 0.662 0.846 0.803
N 0.673 0.417 0.691
N 0.827 0.583 0.191
N 0.838 0.154 0.303
N 0.908 0.768 0.127
N 0.917 0.984 0.628
N 0.972 0.086 0.432
O 0.024 0.478 0.602
O 0.084 0.327 0.086
O 0.095 0.370 0.221
O 0.096 0.848 0.989
O 0.192 0.817 0.337
O 0.194 0.037 0.994
O 0.306 0.963 0.494
O 0.308 0.183 0.837
O 0.404 0.152 0.489
O 0.405 0.630 0.721
O 0.416 0.673 0.586
O 0.476 0.522 0.102
O 0.524 0.022 0.398
O 0.584 0.173 0.914
O 0.595 0.130 0.779
O 0.596 0.652 0.011
O 0.692 0.683 0.663
O 0.694 0.463 0.006
O 0.806 0.537 0.506
O 0.808 0.317 0.163
O 0.904 0.348 0.511
O 0.905 0.870 0.279
O 0.916 0.827 0.414
O 0.976 0.978 0.898

## Properties
The total DFT energy (no corrections) is -4.4919 eV per atom. The energy of formation from the pure elements is 0.87 eV/atom. The calculated density is 1143 kg/m³.

Entry 6:
Density functional theory data (GGA+U) for a relaxed Na2Fe2P2O8F crystal.

abc: 5.178 14.458 11.168
angles: 90.00 90.00 90.00
Positions (direct):
Na 0.245 0.246 0.155
Na 0.245 0.754 0.655
Na 0.255 0.254 0.655
Na 0.255 0.746 0.155
Na 0.745 0.254 0.845
Na 0.745 0.746 0.345
Na 0.755 0.246 0.345
Na 0.755 0.754 0.845
Fe 0.179 0.490 0.663
Fe 0.179 0.510 0.163
Fe 0.321 0.010 0.163
Fe 0.321 0.990 0.663
Fe 0.679 0.010 0.337
Fe 0.679 0.990 0.837
Fe 0.821 0.490 0.837
Fe 0.821 0.510 0.337
P 0.171 0.113 0.909
P 0.171 0.887 0.409
P 0.329 0.387 0.409
P 0.329 0.613 0.909
P 0.671 0.387 0.091
P 0.671 0.613 0.591
P 0.829 0.113 0.591
P 0.829 0.887 0.091
O 0.125 0.100 0.613
O 0.125 0.900 0.113
O 0.194 0.472 0.344
O 0.194 0.528 0.844
O 0.226 0.104 0.046
O 0.226 0.896 0.546
O 0.236 0.294 0.363
O 0.236 0.706 0.863
O 0.264 0.206 0.863
O 0.264 0.794 0.363
O 0.274 0.396 0.546
O 0.274 0.604 0.046
O 0.306 0.028 0.844
O 0.306 0.972 0.344
O 0.375 0.400 0.113
O 0.375 0.600 0.613
O 0.625 0.400 0.387
O 0.625 0.600 0.887
O 0.694 0.028 0.656
O 0.694 0.972 0.156
O 0.726 0.396 0.954
O 0.726 0.604 0.454
O 0.736 0.206 0.637
O 0.736 0.794 0.137
O 0.764 0.294 0.137
O 0.764 0.706 0.637
O 0.774 0.104 0.454
O 0.774 0.896 0.954
O 0.806 0.472 0.156
O 0.806 0.528 0.656
O 0.875 0.100 0.887
O 0.875 0.900 0.387
F 0.000 0.378 0.750
F 0.000 0.622 0.250
F 0.500 0.122 0.250
F 0.500 0.878 0.750

## Properties
The total DFT energy (no corrections) is -6.4962 eV per atom. The energy of formation from the pure elements is -2.40 eV/atom. The calculated density is 2913 kg/m³.

Entry 7:
Density functional theory data (GGA+U) for a relaxed NbV3O8 crystal.

abc: 6.070 6.070 9.332
angles: 90.00 90.00 121.62
Positions (direct):
Nb 0.171 0.829 0.500
Nb 0.829 0.171 0.000
V 0.162 0.328 0.720
V 0.328 0.162 0.220
V 0.331 0.669 0.209
V 0.669 0.331 0.709
V 0.672 0.838 0.720
V 0.838 0.672 0.220
O 0.012 0.548 0.336
O 0.022 0.978 0.338
O 0.153 0.847 0.108
O 0.160 0.329 0.102
O 0.329 0.160 0.602
O 0.330 0.670 0.600
O 0.452 0.988 0.336
O 0.492 0.508 0.805
O 0.508 0.492 0.305
O 0.548 0.012 0.836
O 0.670 0.330 0.100
O 0.671 0.840 0.102
O 0.840 0.671 0.602
O 0.847 0.153 0.608
O 0.978 0.022 0.838
O 0.988 0.452 0.836

## Properties
The total DFT energy (no corrections) is -8.0934 eV per atom. The energy of formation from the pure elements is -2.57 eV/atom. The calculated density is 4239 kg/m³.

Entry 8:
Density functional theory data (GGA+U) for a relaxed LiVSiO4 crystal.

abc: 8.657 5.235 8.589
angles: 90.00 107.98 90.00
Positions (direct):
Li 0.000 0.172 0.000
Li 0.000 0.828 0.500
Li 0.483 0.320 0.343
Li 0.483 0.680 0.843
V 0.239 0.176 0.760
V 0.239 0.824 0.260
V 0.729 0.325 0.103
V 0.729 0.675 0.603
Si 0.115 0.318 0.374
Si 0.115 0.682 0.874
Si 0.612 0.184 0.735
Si 0.612 0.816 0.235
O 0.096 0.181 0.539
O 0.096 0.819 0.039
O 0.148 0.373 0.902
O 0.148 0.627 0.402
O 0.269 0.180 0.329
O 0.269 0.820 0.829
O 0.455 0.301 0.782
O 0.455 0.699 0.282
O 0.591 0.124 0.196
O 0.591 0.876 0.696
O 0.636 0.336 0.576
O 0.636 0.664 0.076
O 0.768 0.244 0.897
O 0.768 0.756 0.397
O 0.955 0.262 0.216
O 0.955 0.738 0.716

## Properties
The total DFT energy (no corrections) is -7.3219 eV per atom. The energy of formation from the pure elements is -2.78 eV/atom. The calculated density is 2691 kg/m³.